VASP calculation (PBE+U) on Zn3Co4Sb2O12 after structural relaxation.

## Properties
Energy of formation (kJ/mol of formula units): -3393
MP2020-corrected energy (eV per atom): -6.429
Calculated density (g/cm³): 5.8
Symmetry: P-1, No. 2

a = 6.2302 Å, b = 8.6830 Å, c = 10.4973 Å
α = 113.51°, β = 105.99°, γ = 92.34°
Last column: nearest neighbours and their distance in Å.
Positions (direct):
Zn 0.8825 0.7994 0.8197  3 O 1.94-2.02
Zn 0.5548 0.4543 0.1646  4 O 1.97-2.13
Zn 0.2219 0.1414 0.4969  4 O 1.93-2.08
Zn 0.4452 0.5457 0.8354  4 O 1.97-2.13
Zn 0.1175 0.2006 0.1803  3 O 1.94-2.02
Zn 0.7781 0.8586 0.5031  4 O 1.93-2.08
Co 0.6667 0.1705 0.3342  6 O 2.03-2.23
Co 0.3333 0.8295 0.6658  6 O 2.03-2.23
Co 0.8280 0.3263 0.6551  5 O 1.99-2.15
Co 0.5000 0.0000 0.0000  6 O 2.04-2.18
Co 0.1720 0.6737 0.3449  5 O 1.99-2.15
Co 0.6585 0.1525 0.8235  5 O 2.00-2.16
Co 0.3415 0.8475 0.1765  5 O 2.00-2.16
Co 0.0000 0.5000 0.5000  6 O 2.04-2.17
Sb 0.0000 0.5000 0.0000  6 O 1.99-2.06
Sb 0.1671 0.1581 0.8265  6 O 1.99-2.13
Sb 0.8329 0.8419 0.1735  6 O 1.99-2.13
Sb 0.5000 0.5000 0.5000  6 O 2.01-2.02
O 0.4741 0.2391 0.9789  1 Sb 2.00, 1 Zn 2.01, 2 Co 2.16-2.18
O 0.1437 0.9039 0.3183  1 Sb 2.00, 1 Zn 2.08, 2 Co 2.11-2.13
O 0.8092 0.5687 0.6526  1 Zn 1.99, 1 Sb 2.02, 2 Co 2.12-2.16
O 0.3244 0.0902 0.6763  1 Sb 1.99, 1 Zn 2.04, 2 Co 2.12-2.23
O 0.9930 0.7406 0.0110  2 Sb 2.05-2.12, 1 Zn 2.20, 1 Co 2.25
O 0.6588 0.4232 0.3464  1 Zn 1.97, 1 Sb 2.02, 2 Co 2.15-2.17
O 0.6349 0.9274 0.8330  1 Zn 1.94, 3 Co 2.00-2.05
O 0.2951 0.5915 0.1600  1 Sb 1.99, 1 Zn 2.05, 2 Co 2.15-2.16
O 0.9691 0.2631 0.4965  1 Zn 1.93, 3 Co 1.99-2.04
O 0.1680 0.9343 0.8365  1 Sb 1.99, 1 Zn 2.02, 2 Co 2.17-2.21
O 0.8406 0.5899 0.1568  2 Sb 2.06-2.13, 1 Zn 2.13, 1 Co 2.28
O 0.5022 0.2672 0.4983  1 Sb 2.01, 1 Zn 2.02, 2 Co 2.12-2.15
O 0.8563 0.0961 0.6817  1 Sb 2.00, 1 Zn 2.08, 2 Co 2.11-2.13
O 0.5259 0.7609 0.0211  1 Sb 2.00, 1 Zn 2.01, 2 Co 2.16-2.18
O 0.1908 0.4313 0.3474  1 Zn 1.99, 1 Sb 2.02, 2 Co 2.12-2.16
O 0.0070 0.2594 0.9890  2 Sb 2.05-2.12, 1 Zn 2.20, 1 Co 2.25
O 0.6756 0.9098 0.3237  1 Sb 1.99, 1 Zn 2.04, 2 Co 2.12-2.23
O 0.3412 0.5768 0.6536  1 Zn 1.97, 1 Sb 2.02, 2 Co 2.15-2.17
O 0.7049 0.4085 0.8400  1 Sb 1.99, 1 Zn 2.05, 2 Co 2.15-2.16
O 0.3651 0.0726 0.1670  1 Zn 1.94, 3 Co 2.00-2.05
O 0.0309 0.7369 0.5035  1 Zn 1.93, 3 Co 1.99-2.04
O 0.1594 0.4101 0.8432  2 Sb 2.06-2.13, 1 Zn 2.13, 1 Co 2.28
O 0.8320 0.0657 0.1635  1 Sb 1.99, 1 Zn 2.02, 2 Co 2.17-2.21
O 0.4978 0.7328 0.5017  1 Sb 2.01, 1 Zn 2.02, 2 Co 2.12-2.15